# 1
Here is crystalline CeSi3Ir at its relaxed geometry from the Materials Project database. Energies are from r2SCAN.

abc: 5.761 5.761 5.761
angles: 136.84 136.84 62.69
Atoms (fractional coordinates):
Ce 0.000 0.000 0.000
Si 0.267 0.767 0.500
Si 0.417 0.417 0.000
Si 0.767 0.267 0.500
Ir 0.657 0.657 0.000

Formation energy ... -0.893 eV/atom

***

# 2
Here is crystalline Mg2ZnAs2 at its relaxed geometry from the Materials Project database. Energies are from r2SCAN.

abc: 4.142 4.142 13.459
angles: 90.00 90.00 120.00
Atoms (fractional coordinates):
Zn 0.667 0.333 0.184
Mg 0.000 0.000 0.997
Zn 0.667 0.333 0.684
Mg 0.333 0.667 0.315
As 0.667 0.333 0.384
As 0.333 0.667 0.619
Mg 0.333 0.667 0.815
As 0.667 0.333 0.884
As 0.333 0.667 0.119
Mg 0.000 0.000 0.497

Formation energy ... -0.599 eV/atom

***

# 3
Here is crystalline Tb2Se2O7 at its relaxed geometry from the Materials Project database. Energies are from r2SCAN.

abc: 10.596 10.596 5.218
angles: 90.00 90.00 90.00
Atoms (fractional coordinates):
Tb 0.128 0.628 0.000
Tb 0.128 0.872 0.500
Tb 0.372 0.628 0.500
Tb 0.372 0.872 0.000
Tb 0.628 0.128 0.000
Tb 0.628 0.372 0.500
Tb 0.872 0.128 0.500
Tb 0.872 0.372 0.000
Se 0.128 0.128 0.036
Se 0.128 0.372 0.536
Se 0.372 0.128 0.536
Se 0.372 0.372 0.036
Se 0.628 0.628 0.964
Se 0.628 0.872 0.464
Se 0.872 0.628 0.464
Se 0.872 0.872 0.964
O 0.002 0.680 0.627
O 0.002 0.820 0.127
O 0.064 0.064 0.308
O 0.064 0.436 0.808
O 0.180 0.502 0.373
O 0.180 0.998 0.873
O 0.250 0.750 0.250
O 0.250 0.750 0.750
O 0.320 0.502 0.873
O 0.320 0.998 0.373
O 0.436 0.064 0.808
O 0.436 0.436 0.308
O 0.498 0.680 0.127
O 0.498 0.820 0.627
O 0.502 0.180 0.373
O 0.502 0.320 0.873
O 0.564 0.564 0.692
O 0.564 0.936 0.192
O 0.680 0.002 0.627
O 0.680 0.498 0.127
O 0.750 0.250 0.250
O 0.750 0.250 0.750
O 0.820 0.002 0.127
O 0.820 0.498 0.627
O 0.936 0.564 0.192
O 0.936 0.936 0.692
O 0.998 0.180 0.873
O 0.998 0.320 0.373

Formation energy ... -2.372 eV/atom

***

# 4
Here is crystalline Ca3Al7Cu2 at its relaxed geometry from the Materials Project database. Energies are from r2SCAN.

abc: 9.139 9.139 9.139
angles: 35.37 35.37 35.37
Atoms (fractional coordinates):
Ca 0.000 0.000 0.000
Ca 0.143 0.143 0.143
Ca 0.857 0.857 0.857
Al 0.073 0.578 0.578
Al 0.422 0.422 0.927
Al 0.422 0.927 0.422
Al 0.500 0.500 0.500
Al 0.578 0.073 0.578
Al 0.578 0.578 0.073
Al 0.927 0.422 0.422
Cu 0.335 0.335 0.335
Cu 0.665 0.665 0.665

Formation energy ... -0.356 eV/atom